[1]
Below is crystalline CaCr2F10 at its relaxed geometry, with properties calculated at the r²SCAN level.

The structure in extended XYZ format:
```
13
Lattice="4.4396 -3.2163 0.0000 4.4396 3.2163 0.0000 -3.1750 0.0000 6.6999" Properties=species:S:1:pos:R:3 pbc="T T T"
Ca 0.0000 0.0000 0.0000
Cr 2.0243 -0.2814 4.9839
Cr 3.6800 -0.2814 1.7161
F 1.8187 1.4779 5.3491
F 3.8856 1.4779 1.3508
F 2.0364 -0.1466 0.8928
F 0.4625 -0.3901 4.2349
F 2.8521 0.1599 3.3500
F 4.4396 -0.7698 0.0000
F 3.6678 -0.1466 5.8071
F 5.2417 -0.3901 2.4650
F 3.4030 -2.0538 1.8343
F 2.3012 -2.0538 4.8656
```

Calculated formation energy ... -3.019 eV per atom
Electronic total energy ... -107.69 eV per formula unit

***

[2]
Below is crystalline SmMgPd at its relaxed geometry, with properties calculated at the r²SCAN level.

The structure in extended XYZ format:
```
9
Lattice="7.5566 0.0000 0.0000 -3.7783 6.5442 0.0000 0.0000 0.0000 4.0718" Properties=species:S:1:pos:R:3 pbc="T T T"
Sm -1.5622 2.7058 0.0000
Sm 3.1244 0.0000 0.0000
Sm 2.2161 3.8384 0.0000
Mg -2.8717 4.9740 2.0359
Mg 0.9066 1.5703 2.0359
Mg 5.7435 0.0000 2.0359
Pd 0.0000 0.0000 0.0000
Pd 0.0000 4.3628 2.0359
Pd 3.7783 2.1814 2.0359
```

Calculated formation energy ... -0.670 eV per atom
Electronic total energy ... -58.87 eV per formula unit

***

[3]
Below is crystalline NaTl2In at its relaxed geometry, with properties calculated at the r²SCAN level.

The structure in extended XYZ format:
```
4
Lattice="0.0000 3.7726 3.7726 3.7726 0.0000 3.7726 3.7726 3.7726 0.0000" Properties=species:S:1:pos:R:3 pbc="T T T"
Na 0.0000 0.0000 0.0000
Tl 1.8863 1.8863 1.8863
Tl 5.6590 5.6590 5.6590
In 3.7726 3.7726 3.7726
```

Calculated formation energy ... -0.126 eV per atom
Electronic total energy ... -133.00 eV per formula unit

***

[4]
Below is crystalline Ce3Sn at its relaxed geometry, with properties calculated at the r²SCAN level.

The structure in extended XYZ format:
```
4
Lattice="4.8708 0.0000 0.0000 0.0000 4.8708 0.0000 0.0000 0.0000 4.8708" Properties=species:S:1:pos:R:3 pbc="T T T"
Ce 0.0000 0.0000 2.4354
Ce 0.0000 2.4354 0.0000
Ce 2.4354 0.0000 0.0000
Sn 2.4354 2.4354 2.4354
```

Calculated formation energy ... -0.525 eV per atom
Electronic total energy ... -119.37 eV per formula unit

***

[5]
Below is crystalline SrI2 at its relaxed geometry, with properties calculated at the r²SCAN level.

The structure in extended XYZ format:
```
12
Lattice="12.5362 0.0000 0.0000 0.0000 5.0155 0.0000 0.0000 0.0000 8.5010" Properties=species:S:1:pos:R:3 pbc="T T T"
Sr 2.1334 1.2539 1.1213
Sr 4.1348 3.7616 5.3718
Sr 8.4015 1.2539 3.1292
Sr 10.4029 3.7616 7.3797
I 1.3558 3.7616 7.4552
I 1.5352 3.7616 3.2352
I 4.7329 1.2539 7.4856
I 4.9123 1.2539 3.2047
I 7.6239 3.7616 5.2963
I 7.8034 3.7616 1.0153
I 11.0010 1.2539 5.2658
I 11.1804 1.2539 1.0458
```

Calculated formation energy ... -1.941 eV per atom
Electronic total energy ... -70.08 eV per formula unit

***

[6]
Below is crystalline CsTlF4 at its relaxed geometry, with properties calculated at the r²SCAN level.

The structure in extended XYZ format:
```
24
Lattice="6.5644 0.0000 0.0000 0.0000 8.4582 0.0000 0.0000 0.0000 8.5416" Properties=species:S:1:pos:R:3 pbc="T T T"
Cs 0.1088 1.6728 2.1354
Cs 0.1088 2.5564 6.4062
Cs 6.4556 5.9019 2.1354
Cs 6.4556 6.7855 6.4062
Tl 3.2822 0.0000 0.0000
Tl 3.2822 0.0000 4.2708
Tl 3.2822 4.2291 0.0000
Tl 3.2822 4.2291 4.2708
F 1.3491 4.8007 4.7520
F 1.3491 4.8007 8.0604
F 1.3491 7.8867 0.4812
F 1.3491 7.8867 3.7896
F 2.5080 2.1146 0.0000
F 2.5080 2.1146 4.2708
F 2.6421 4.3998 2.1354
F 2.6421 8.2875 6.4062
F 3.9223 0.1707 2.1354
F 3.9223 4.0584 6.4062
F 4.0564 6.3437 0.0000
F 4.0564 6.3437 4.2708
F 5.2153 0.5716 4.7520
F 5.2153 0.5716 8.0604
F 5.2153 3.6575 0.4812
F 5.2153 3.6575 3.7896
```

Calculated formation energy ... -2.379 eV per atom
Electronic total energy ... -105.07 eV per formula unit

***

[7]
Below is crystalline ErTaO4 at its relaxed geometry, with properties calculated at the r²SCAN level.

The structure in extended XYZ format:
```
12
Lattice="5.0790 0.0000 0.0000 0.0000 5.4145 0.0000 -0.5754 0.0000 5.2361" Properties=species:S:1:pos:R:3 pbc="T T T"
Er -0.1438 1.2645 1.3090
Er -0.4315 4.1501 3.9271
Ta 2.1080 1.6380 3.9271
Ta 2.3957 3.7766 1.3090
O 0.9218 0.4347 3.1182
O 1.2095 4.9798 0.5001
O 0.7787 2.3660 5.1988
O 1.0664 3.0485 2.5807
O 3.4372 2.3660 2.6554
O 3.7249 3.0485 0.0373
O 3.2941 0.4347 4.7360
O 3.5818 4.9798 2.1179
```

Calculated formation energy ... -3.593 eV per atom
Electronic total energy ... -127.97 eV per formula unit

***

[8]
Below is crystalline Ho4C7 at its relaxed geometry, with properties calculated at the r²SCAN level.

The structure in extended XYZ format:
```
44
Lattice="3.6728 0.0000 0.0000 0.0000 12.4901 0.0000 -2.0762 0.0000 13.5336" Properties=species:S:1:pos:R:3 pbc="T T T"
Ho -0.3412 0.4941 5.1660
Ho -1.3793 5.7509 11.9328
Ho -1.1522 2.4361 10.6882
Ho -0.1141 3.8089 3.9214
Ho -0.0535 9.2043 6.6716
Ho -1.0916 9.5307 13.4384
Ho 0.8815 0.1914 1.4515
Ho -0.1566 6.0536 8.2183
Ho 1.7532 6.4365 5.3153
Ho 0.7151 12.2986 12.0821
Ho 2.6882 2.9593 0.0952
Ho 1.6501 3.2857 6.8619
Ho 1.7108 8.6812 9.6121
Ho 2.7488 10.0539 2.8454
Ho 2.9759 6.7391 1.6008
Ho 1.9378 11.9959 8.3676
C -0.0631 8.0044 4.4044
C -1.1011 10.7307 11.1712
C -1.2093 1.4568 12.8548
C -0.1712 4.7883 6.0880
C -0.2373 1.3730 7.4093
C 0.8008 4.8721 0.6425
C 0.6111 8.1398 3.2958
C -0.4270 10.5953 10.0626
C 1.0675 8.3843 2.0567
C 0.0294 10.3508 8.8235
C -0.0953 7.2825 10.4319
C 0.9428 11.4526 3.6651
C 0.1957 1.3015 8.6533
C 1.2338 4.9435 1.8866
C 0.3628 7.5466 11.6470
C 1.4009 11.1885 4.8802
C 0.6538 1.0374 9.8684
C 1.6919 5.2076 3.1016
C 1.5672 2.1393 4.7101
C 0.5291 4.1058 11.4769
C 2.0236 1.8948 3.4710
C 0.9855 4.3502 10.2378
C 0.7958 7.6180 12.8911
C 1.8339 11.1171 6.1243
C 1.7678 7.7018 7.4455
C 2.8059 11.0333 0.6787
C 2.6978 1.7594 2.3624
C 1.6597 4.4857 9.1292
```

Calculated formation energy ... -0.476 eV per atom
Relative energy among the computed polymorphs ... 0.000 eV/atom
Electronic total energy ... -206.40 eV per formula unit